Entry from Materials Project: a geometry-optimized NdCoSi3 structure (r2SCAN).

```
NdCoSi3
1.0
0.4487 -2.5266 4.9802
-4.5078 0.0365 3.3266
1.1328 -1.2554 -5.3412
Nd Co Si
1 1 3
Direct
0.0044 0.0044 0.0000
0.6617 0.6617 0.0000
0.4269 0.4269 0.0000
0.2610 0.7610 0.5000
0.7610 0.2610 0.5000
```

## Properties
Magnetic moment (μB per formula unit): 0.00
DFT total energy (eV/atom): -14.41
Calculated density (g/cm3): 5.887

Entry from Materials Project: a geometry-optimized NdCoSi structure (r2SCAN).

```
NdCoSi
1.0
-1.4316 3.4291 1.5729
-0.2633 -1.7691 3.6171
6.5125 2.0431 1.4734
Nd Co Si
2 2 2
Direct
0.2500 0.2500 0.6889
0.7500 0.7500 0.3111
0.7500 0.2500 0.0000
0.2500 0.7500 0.0000
0.7500 0.7500 0.8358
0.2500 0.2500 0.1642
```

## Properties
Magnetic moment (μB per formula unit): 0.38
DFT total energy (eV/atom): -17.80
Calculated density (g/cm3): 6.755

Entry from Materials Project: a geometry-optimized Nd12Co6Sn structure (r2SCAN).

```
Nd12Co6Sn
1.0
-5.0165 5.0165 5.0164
5.0165 -5.0165 5.0164
5.0165 5.0165 -5.0165
Nd Co Sn
12 6 1
Direct
0.3048 0.4968 0.1921
0.8079 0.6952 0.5031
0.1126 0.8079 0.3048
0.8079 0.3048 0.1127
0.8873 0.1921 0.6952
0.1921 0.3048 0.4969
0.4969 0.1921 0.3048
0.5031 0.8079 0.6952
0.1921 0.6952 0.8873
0.3048 0.1127 0.8079
0.6952 0.8873 0.1921
0.6952 0.5031 0.8079
0.6091 0.5000 0.1091
0.1091 0.6091 0.5000
0.5000 0.8909 0.3909
0.8909 0.3909 0.5000
0.5000 0.1091 0.6091
0.3909 0.5000 0.8909
0.0000 0.0000 0.0000
```

## Properties
Magnetic moment (μB per formula unit): 1.29
DFT total energy (eV/atom): -24.17
Calculated density (g/cm3): 7.245

Entry from Materials Project: a geometry-optimized Nd2CoSn4 structure (r2SCAN).

```
Nd2CoSn4
1.0
0.0000 0.0000 4.5044
4.5254 -0.0012 0.0000
2.2604 8.5872 0.0000
Nd Co Sn
2 1 4
Direct
0.2500 0.9048 0.1900
0.7500 0.1147 0.7711
0.2500 0.7024 0.5952
0.2500 0.2661 0.4677
0.7500 0.7657 0.4691
0.2500 0.5592 0.8818
0.7500 0.4471 0.1052
```

## Properties
Magnetic moment (μB per formula unit): 0.00
DFT total energy (eV/atom): -25.01
Calculated density (g/cm3): 7.800

Entry from Materials Project: a geometry-optimized Co3Ni structure (r2SCAN).

```
Co3Ni
1.0
-1.7018 0.2071 -4.6393
-3.0338 -1.2749 3.6923
-0.9724 3.8440 0.5283
Co Ni
6 2
Direct
0.1650 0.3300 0.2500
0.8350 0.1650 0.7500
0.3300 0.1650 0.7500
0.8350 0.6700 0.7500
0.1650 0.8350 0.2500
0.6700 0.8350 0.2500
0.6667 0.3333 0.2500
0.3333 0.6667 0.7500
```

## Properties
Magnetic moment (μB per formula unit): 6.08
DFT total energy (eV/atom): -12.94
Calculated density (g/cm3): 9.229

Entry from Materials Project: a geometry-optimized Co3Ni structure (r2SCAN).

```
Co3Ni
1.0
-0.1399 -3.2780 -1.2065
0.0524 -1.2096 3.2803
-3.4940 0.1132 0.0975
Co Ni
3 1
Direct
0.5000 0.5000 0.0000
0.5000 0.0000 0.5000
0.0000 0.5000 0.5000
0.0000 0.0000 0.0000
```

## Properties
Magnetic moment (μB per formula unit): 6.24
DFT total energy (eV/atom): -12.93
Calculated density (g/cm3): 9.148

Entry from Materials Project: a geometry-optimized CoNi3 structure (r2SCAN).

```
CoNi3
1.0
-1.7478 4.5114 -0.8812
-2.6900 -3.9494 -1.1619
-1.6827 0.0655 3.6728
Co Ni
2 6
Direct
0.3333 0.6667 0.7500
0.6667 0.3333 0.2500
0.1670 0.3339 0.2500
0.6661 0.8330 0.2500
0.1669 0.8330 0.2500
0.8330 0.6661 0.7500
0.3339 0.1669 0.7500
0.8330 0.1669 0.7500
```

## Properties
Magnetic moment (μB per formula unit): 4.15
DFT total energy (eV/atom): -12.27
Calculated density (g/cm3): 9.223

Entry from Materials Project: a geometry-optimized Co3Ni structure (r2SCAN).

```
Co3Ni
1.0
1.2335 -2.1365 0.0000
1.2335 2.1365 0.0000
0.0000 0.0000 8.0637
Co Ni
3 1
Direct
0.3333 0.6667 0.5000
0.0000 0.0000 0.2510
0.0000 0.0000 0.7490
0.3333 0.6667 0.0000
```

## Properties
Magnetic moment (μB per formula unit): 6.15
DFT total energy (eV/atom): -12.92
Calculated density (g/cm3): 9.201

Entry from Materials Project: a geometry-optimized CoNi structure (r2SCAN).

```
CoNi
1.0
-0.1224 4.1683 -1.0718
-2.4067 3.3130 -1.3306
-1.5654 3.9099 0.8948
Co Ni
1 1
Direct
0.0000 0.0000 0.0000
0.5000 0.5000 0.5000
```

## Properties
Magnetic moment (μB per formula unit): 2.53
DFT total energy (eV/atom): -12.59
Calculated density (g/cm3): 9.219

Entry from Materials Project: a geometry-optimized CoNi3 structure (r2SCAN).

```
CoNi3
1.0
3.4872 0.0000 0.0000
0.0000 3.4872 0.0000
0.0000 0.0000 3.4872
Co Ni
1 3
Direct
0.0000 0.0000 0.0000
0.0000 0.5000 0.5000
0.5000 0.0000 0.5000
0.5000 0.5000 0.0000
```

## Properties
Magnetic moment (μB per formula unit): 4.12
DFT total energy (eV/atom): -12.28
Calculated density (g/cm3): 9.203

Entry from Materials Project: a geometry-optimized CoNi2O4 structure (r2SCAN).

```
CoNi2O4
1.0
0.0004 4.0618 4.0619
4.0619 0.0003 4.0620
4.0619 4.0616 0.0003
Co Ni O
2 4 8
Direct
0.1251 0.1251 0.1251
0.8749 0.8749 0.8749
0.5000 0.0000 0.5000
0.5000 0.5000 0.0000
0.0000 0.5000 0.5000
0.5000 0.5000 0.5000
0.7301 0.2568 0.2568
0.2568 0.2568 0.2568
0.7432 0.2699 0.7432
0.7433 0.7433 0.2699
0.2567 0.2567 0.7301
0.2568 0.7301 0.2567
0.2699 0.7432 0.7432
0.7432 0.7432 0.7431
```

## Properties
Magnetic moment (μB per formula unit): 1.00
DFT total energy (eV/atom): -9.98
Calculated density (g/cm3): 5.956

Entry from Materials Project: a geometry-optimized CoNiPt2 structure (r2SCAN).

```
CoNiPt2
1.0
2.6887 0.0000 0.0000
0.0000 2.6887 0.0000
0.0000 0.0000 7.3326
Co Ni Pt
1 1 2
Direct
0.0000 0.0000 0.0000
0.0000 0.0000 0.5000
0.5000 0.5000 0.7493
0.5000 0.5000 0.2507
```

## Properties
Magnetic moment (μB per formula unit): 3.71
DFT total energy (eV/atom): -32.19
Calculated density (g/cm3): 15.907

Entry from Materials Project: a geometry-optimized Sc2CoNi structure (r2SCAN).

```
Sc2CoNi
1.0
-1.9543 0.3373 4.0084
-3.8853 2.1749 0.4175
-3.7548 -2.2738 0.8555
Sc Co Ni
2 1 1
Direct
0.2500 0.2500 0.2500
0.7500 0.7500 0.7500
0.5000 0.5000 0.5000
0.0000 0.0000 0.0000
```

## Properties
Magnetic moment (μB per formula unit): 1.06
DFT total energy (eV/atom): -12.39
Calculated density (g/cm3): 5.449

Entry from Materials Project: a geometry-optimized CoSi4Ni3 structure (r2SCAN).

```
CoSi4Ni3
1.0
-2.8770 0.5536 -1.4258
-2.1352 -3.6390 2.8956
-1.2235 3.8524 3.9646
Co Si Ni
1 4 3
Direct
0.0000 0.5071 0.6915
0.0000 0.6769 0.0733
0.0000 0.1839 0.4249
0.5000 0.3252 0.9181
0.5000 0.8112 0.5823
0.0000 0.0085 0.8097
0.5000 0.4931 0.3079
0.5000 0.9942 0.1922
```

## Properties
Magnetic moment (μB per formula unit): 0.00
DFT total energy (eV/atom): -11.00
Calculated density (g/cm3): 6.110

Entry from Materials Project: a geometry-optimized V6CoNi structure (r2SCAN).

```
V6CoNi
1.0
-1.5580 1.0667 -4.2267
-2.5849 -3.8403 -0.0164
-3.5102 2.3546 1.8881
V Co Ni
6 1 1
Direct
0.0000 0.5000 0.7493
0.5000 0.2507 0.0000
0.7493 0.0000 0.5000
0.0000 0.5000 0.2507
0.5000 0.7493 0.0000
0.2507 0.0000 0.5000
0.5000 0.5000 0.5000
0.0000 0.0000 0.0000
```

## Properties
Magnetic moment (μB per formula unit): 0.00
DFT total energy (eV/atom): -13.87
Calculated density (g/cm3): 7.085

Entry from Materials Project: a geometry-optimized Zr2CoNi structure (r2SCAN).

```
Zr2CoNi
1.0
1.6242 -4.9175 0.0000
1.6242 4.9175 0.0000
0.0000 0.0000 4.0670
Zr Co Ni
2 1 1
Direct
0.1407 0.8593 0.0000
0.8622 0.1378 0.5000
0.4140 0.5860 0.0000
0.5832 0.4168 0.5000
```

## Properties
Magnetic moment (μB per formula unit): 0.00
DFT total energy (eV/atom): -18.02
Calculated density (g/cm3): 7.670

Entry from Materials Project: a geometry-optimized NpCo3 structure (r2SCAN).

```
NpCo3
1.0
3.7601 0.0000 0.0000
0.0000 3.7599 0.0000
0.0000 0.0000 3.7601
Np Co
1 3
Direct
0.0000 0.0000 0.0000
0.0000 0.5000 0.5000
0.5000 0.0000 0.5000
0.5000 0.5000 0.0000
```

## Properties
Magnetic moment (μB per formula unit): 0.38
DFT total energy (eV/atom): -30.67
Calculated density (g/cm3): 12.926

Entry from Materials Project: a geometry-optimized Co23O32 structure (r2SCAN).

```
Co23O32
1.0
8.0279 0.0039 -0.0017
-0.0042 8.0277 -0.0242
-4.0103 -3.9916 8.0262
Co O
23 32
Direct
0.3775 0.6245 0.7496
0.2495 0.2491 0.5000
0.3129 0.3125 0.8750
0.8733 0.1251 0.2480
0.0013 0.0010 0.5000
0.8755 0.1225 0.7496
0.5629 0.0625 0.3750
0.2483 0.7499 0.0003
0.7524 0.7520 0.5020
0.3763 0.6241 0.2500
0.1253 0.8730 0.2479
0.9363 0.4430 0.6289
0.5004 0.5000 0.5019
0.0009 0.5025 0.0003
0.0629 0.5626 0.3750
0.6249 0.3771 0.7496
0.7502 0.2479 0.0003
0.6244 0.3760 0.2499
0.4433 0.9360 0.6289
0.5028 0.0006 0.0003
0.1229 0.8751 0.7496
0.6894 0.6891 0.1211
0.1823 0.1820 0.1210
0.2680 0.4924 0.5116
0.1185 0.1182 0.2627
0.0072 0.2337 0.4905
0.8949 0.8946 0.2627
0.6312 0.1327 0.2383
0.4827 0.7568 0.9870
0.7698 0.9941 0.5117
0.2551 0.9803 0.9869
0.1431 0.6447 0.7629
0.6186 0.6182 0.2595
0.3578 0.8557 0.2382
0.0252 0.7417 0.0165
0.2445 0.5184 0.0125
0.5072 0.7305 0.4872
0.3916 0.3913 0.2594
0.1331 0.6309 0.2382
0.8686 0.3703 0.7630
0.6005 0.6001 0.7333
0.9806 0.2547 0.9869
0.4927 0.2676 0.5116
0.7571 0.4824 0.9870
0.6451 0.1427 0.7629
0.3812 0.3809 0.7374
0.8560 0.3575 0.2382
0.7421 0.0250 0.0166
0.2340 0.0068 0.4904
0.5188 0.2442 0.0125
0.3706 0.8683 0.7629
0.1070 0.1066 0.7374
0.9945 0.7694 0.5116
0.8837 0.8833 0.7334
0.7308 0.5068 0.4872
```

## Properties
Magnetic moment (μB per formula unit): 23.02
DFT total energy (eV/atom): -10.34
Calculated density (g/cm3): 6.005

Entry from Materials Project: a geometry-optimized Co5O8 structure (r2SCAN).

```
Co5O8
1.0
-5.6274 -0.0083 0.0116
-2.8067 4.8616 0.0003
-2.8066 -1.6209 -4.5834
Co O
5 8
Direct
0.4959 0.4972 0.5020
0.4959 0.0069 0.5021
0.2500 0.8750 0.1250
0.0041 0.4980 0.5028
0.0041 0.4979 0.9931
0.9783 0.7394 0.2608
0.9783 0.2823 0.2608
0.5217 0.7391 0.7177
0.5217 0.7391 0.2605
0.4681 0.2660 0.7364
0.4681 0.2659 0.2955
0.0319 0.7045 0.7341
0.0319 0.2636 0.7340
```

## Properties
Magnetic moment (μB per formula unit): 4.99
DFT total energy (eV/atom): -9.98
Calculated density (g/cm3): 5.583

Entry from Materials Project: a geometry-optimized Co3O4 structure (r2SCAN).

```
Co3O4
1.0
0.7642 1.5166 5.4299
0.8071 -3.9846 3.9799
5.1095 -0.6004 2.4291
Co O
6 8
Direct
0.5000 0.0000 0.5000
0.0000 0.5000 0.5000
0.5000 0.5000 0.0000
0.5000 0.5000 0.5000
0.1250 0.1250 0.1250
0.8750 0.8750 0.8750
0.7369 0.7369 0.7369
0.2630 0.2630 0.7108
0.2630 0.7108 0.2631
0.7108 0.2630 0.2631
0.7369 0.2892 0.7369
0.2892 0.7369 0.7369
0.2630 0.2630 0.2631
0.7369 0.7369 0.2892
```

## Properties
Magnetic moment (μB per formula unit): 3.00
DFT total energy (eV/atom): -10.45
Calculated density (g/cm3): 6.141